Density functional theory data (r²SCAN) for an optimized crystal structure of CePaO4.

Summary:
The raw total energy is -155.5 eV/f.u.

a b c (Å): 3.844 3.844 5.517
angles (deg): 90.00 90.00 90.00
Space group P4/mmm (No. 123)
Inequivalent atoms, fractional coordinates:
Ce  0.000  0.000  0.000 x1
Pa  0.500  0.500  0.500 x1
O  0.000  0.500  0.266 x4